VASP calculation (PBE) on a geometry-optimized Na7La2Sc2SiP5O24 structure.

ΔH_f (0 K)   -3.0347 eV per atom

Cell lengths 9.360, 9.376, 23.345 Å; angles 89.98, 89.87, 60.15 degrees
Space group P1 (No. 1)
Inequivalent atoms, fractional coordinates:
Na 0.000 0.000 0.000 (multiplicity 1)
Na 0.000 0.635 0.752 (multiplicity 1)
Na 0.008 0.262 0.505 (multiplicity 1)
Na 0.036 0.298 0.833 (multiplicity 1)
Na 0.041 0.936 0.333 (multiplicity 1)
Na 0.304 0.302 0.328 (multiplicity 1)
Na 0.328 0.962 0.916 (multiplicity 1)
Na 0.329 0.960 0.417 (multiplicity 1)
Na 0.335 0.600 0.169 (multiplicity 1)
Na 0.337 0.333 0.671 (multiplicity 1)
Na 0.356 0.647 0.500 (multiplicity 1)
Na 0.357 0.271 0.998 (multiplicity 1)
Na 0.638 0.997 0.506 (multiplicity 1)
Na 0.643 0.628 0.001 (multiplicity 1)
Na 0.654 0.667 0.333 (multiplicity 1)
Na 0.663 0.935 0.831 (multiplicity 1)
Na 0.670 0.292 0.079 (multiplicity 1)
Na 0.673 0.307 0.585 (multiplicity 1)
Na 0.964 0.971 0.668 (multiplicity 1)
Na 0.967 0.336 0.164 (multiplicity 1)
Na 0.995 0.644 0.252 (multiplicity 1)
La 0.005 0.637 0.408 (multiplicity 1)
La 0.012 0.630 0.900 (multiplicity 1)
La 0.664 0.292 0.230 (multiplicity 1)
La 0.666 0.301 0.427 (multiplicity 1)
La 0.988 0.638 0.605 (multiplicity 1)
La 0.988 0.643 0.098 (multiplicity 1)
Sc 0.333 0.963 0.572 (multiplicity 1)
Sc 0.334 0.971 0.067 (multiplicity 1)
Sc 0.336 0.958 0.769 (multiplicity 1)
Sc 0.337 0.964 0.265 (multiplicity 1)
Sc 0.664 0.311 0.733 (multiplicity 1)
Sc 0.668 0.306 0.930 (multiplicity 1)
Si 0.006 0.948 0.504 (multiplicity 1)
Si 0.355 0.619 0.331 (multiplicity 1)
Si 0.999 0.319 0.000 (multiplicity 1)
P 0.045 0.246 0.672 (multiplicity 1)
P 0.054 0.965 0.166 (multiplicity 1)
P 0.309 0.316 0.505 (multiplicity 1)
P 0.316 0.633 0.003 (multiplicity 1)
P 0.329 0.257 0.166 (multiplicity 1)
P 0.344 0.673 0.669 (multiplicity 1)
P 0.382 0.290 0.830 (multiplicity 1)
P 0.616 0.981 0.672 (multiplicity 1)
P 0.620 0.682 0.166 (multiplicity 1)
P 0.658 0.595 0.832 (multiplicity 1)
P 0.659 0.989 0.334 (multiplicity 1)
P 0.681 0.643 0.501 (multiplicity 1)
P 0.685 0.951 0.996 (multiplicity 1)
P 0.954 0.021 0.830 (multiplicity 1)
P 0.985 0.295 0.330 (multiplicity 1)
O 0.002 0.450 0.335 (multiplicity 1)
O 0.037 0.416 0.670 (multiplicity 1)
O 0.039 0.841 0.445 (multiplicity 1)
O 0.042 0.806 0.167 (multiplicity 1)
O 0.043 0.402 0.945 (multiplicity 1)
O 0.128 0.005 0.827 (multiplicity 1)
O 0.128 0.146 0.616 (multiplicity 1)
O 0.148 0.962 0.221 (multiplicity 1)
O 0.148 0.968 0.112 (multiplicity 1)
O 0.152 0.155 0.724 (multiplicity 1)
O 0.157 0.140 0.323 (multiplicity 1)
O 0.162 0.135 0.008 (multiplicity 1)
O 0.168 0.429 0.167 (multiplicity 1)
O 0.170 0.639 0.333 (multiplicity 1)
O 0.175 0.959 0.513 (multiplicity 1)
O 0.184 0.657 0.670 (multiplicity 1)
O 0.191 0.679 0.954 (multiplicity 1)
O 0.203 0.439 0.831 (multiplicity 1)
O 0.208 0.386 0.449 (multiplicity 1)
O 0.219 0.433 0.555 (multiplicity 1)
O 0.245 0.596 0.057 (multiplicity 1)
O 0.326 0.144 0.513 (multiplicity 1)
O 0.326 0.786 0.720 (multiplicity 1)
O 0.327 0.166 0.221 (multiplicity 1)
O 0.332 0.160 0.112 (multiplicity 1)
O 0.340 0.800 0.324 (multiplicity 1)
O 0.344 0.783 0.010 (multiplicity 1)
O 0.357 0.752 0.613 (multiplicity 1)
O 0.369 0.130 0.828 (multiplicity 1)
O 0.447 0.495 0.277 (multiplicity 1)
O 0.462 0.542 0.390 (multiplicity 1)
O 0.472 0.306 0.777 (multiplicity 1)
O 0.477 0.287 0.162 (multiplicity 1)
O 0.480 0.280 0.885 (multiplicity 1)
O 0.481 0.299 0.500 (multiplicity 1)
O 0.484 0.476 0.990 (multiplicity 1)
O 0.494 0.495 0.674 (multiplicity 1)
O 0.499 0.983 0.324 (multiplicity 1)
O 0.509 0.773 0.827 (multiplicity 1)
O 0.516 0.803 0.512 (multiplicity 1)
O 0.516 0.965 0.008 (multiplicity 1)
O 0.520 0.991 0.616 (multiplicity 1)
O 0.524 0.966 0.724 (multiplicity 1)
O 0.525 0.775 0.112 (multiplicity 1)
O 0.529 0.776 0.221 (multiplicity 1)
O 0.629 0.142 0.674 (multiplicity 1)
O 0.631 0.509 0.165 (multiplicity 1)
O 0.632 0.084 0.391 (multiplicity 1)
O 0.645 0.515 0.889 (multiplicity 1)
O 0.654 0.493 0.500 (multiplicity 1)
O 0.661 0.127 0.988 (multiplicity 1)
O 0.677 0.482 0.782 (multiplicity 1)
O 0.696 0.078 0.286 (multiplicity 1)
O 0.748 0.669 0.443 (multiplicity 1)
O 0.759 0.839 0.943 (multiplicity 1)
O 0.795 0.834 0.672 (multiplicity 1)
O 0.798 0.652 0.169 (multiplicity 1)
O 0.807 0.812 0.336 (multiplicity 1)
O 0.807 0.875 0.047 (multiplicity 1)
O 0.808 0.608 0.548 (multiplicity 1)
O 0.819 0.610 0.833 (multiplicity 1)
O 0.834 0.301 0.990 (multiplicity 1)
O 0.845 0.133 0.501 (multiplicity 1)
O 0.848 0.111 0.777 (multiplicity 1)
O 0.870 0.123 0.885 (multiplicity 1)
O 0.870 0.320 0.279 (multiplicity 1)
O 0.871 0.263 0.675 (multiplicity 1)
O 0.885 0.126 0.164 (multiplicity 1)
O 0.911 0.265 0.386 (multiplicity 1)
O 0.954 0.441 0.056 (multiplicity 1)
O 0.963 0.851 0.833 (multiplicity 1)
O 0.971 0.855 0.558 (multiplicity 1)